Material: NdS
Method: DFT, GGA-PBE
State: optimized geometry

Unit cell a=4.069 b=4.069 c=4.069 alpha=60.00 beta=60.00 gamma=60.00
Sites, in units of the cell vectors:
Nd 0.000 0.000 0.000
S 0.500 0.500 0.500

The value obtained for the total energy is -6.476 eV/atom. The space group is Fm-3m, No. 225. For the density, the calculation gives 6.15 g cm⁻³.